1.
CuAg2P4O12: optimized geometry, PBE.

Energy with MP2020 corrections, eV/atom: -6.872
Space-group type: C2/c, No. 15
Formation energy, eV/f.u.: -39.779
M_tot, Bohr magnetons per cell: 2.00

```
38
Lattice="-7.994 -0.159 2.286 1.907 -7.104 -3.880 1.561 -3.823 6.813" Properties=species:S:1:pos:R:3 pbc="T T T"
O -1.876 -2.414 2.443
O 0.122 -5.351 2.237
O -2.823 -7.466 4.966
O 0.717 -5.597 4.720
O -0.675 -7.338 3.567
O -1.703 -3.620 0.253
O 1.104 -8.663 0.629
O 0.410 -5.032 -0.809
O -1.644 -5.025 4.109
O -0.989 -7.458 -0.323
O 2.373 -9.400 3.498
O -2.650 -8.671 2.776
O -3.851 -3.747 1.652
O -4.648 -5.734 2.982
O 1.263 -7.334 -1.533
O -4.935 -6.053 6.027
O -6.899 -1.685 1.720
O -5.243 -5.489 0.498
O -1.226 -9.498 4.743
O -3.537 -3.628 5.541
O -5.630 -2.423 4.590
O -3.300 -1.588 0.475
O -5.789 -3.751 6.752
O -2.882 -6.061 1.109
P -4.101 -5.344 1.650
P 1.209 -5.751 -1.883
P -2.674 -2.800 1.077
P 0.310 -8.211 -0.556
P -1.852 -8.286 4.142
P -4.836 -2.874 5.774
P -0.424 -5.741 3.569
P -5.735 -5.335 7.102
Cu -3.223 -5.551 5.154
Cu -1.302 -5.535 0.065
Ag 0.881 -3.423 0.952
Ag -3.326 -7.759 -0.921
Ag -5.407 -7.663 4.267
Ag -1.199 -3.327 6.140
```

=====

2.
CuAg10Pb3O12: optimized geometry, PBE.

Energy with MP2020 corrections, eV/atom: -4.692
Space-group type: C2, No. 5
Formation energy, eV/f.u.: -19.060
M_tot, Bohr magnetons per cell: 1.60

```
26
Lattice="3.410 -5.142 6.206 4.579 5.022 5.513 -3.020 0.690 5.027" Properties=species:S:1:pos:R:3 pbc="T T T"
Ag 3.996 2.963 12.358
Ag 5.961 -0.081 8.753
Ag 1.557 2.677 4.042
Ag 4.447 0.255 11.278
Ag 2.213 -2.430 5.153
Ag -0.990 0.666 7.992
Ag 4.230 2.662 9.119
Ag 0.523 0.310 5.469
Ag 1.311 2.873 7.289
Ag 2.186 -1.964 11.932
O 4.209 0.745 7.870
O 6.446 0.682 11.963
O 2.895 2.509 5.692
O 0.051 -0.490 2.268
O -1.339 1.082 4.701
O 3.617 -2.388 8.581
O 2.400 -0.409 6.183
O 2.630 2.883 10.725
O 4.775 -0.194 14.564
O 0.917 1.186 8.784
O 0.775 -2.066 8.508
O 2.445 -0.110 10.638
Cu 4.090 0.769 5.803
Pb 4.468 4.059 5.579
Pb 2.401 -0.443 8.423
Pb 2.000 -3.934 8.661
```

=====

3.
Cu2AgSe2O10: optimized geometry, PBE.

Energy with MP2020 corrections, eV/atom: -5.326
Space-group type: C2/m, No. 12
Formation energy, eV/f.u.: -12.385
M_tot, Bohr magnetons per cell: 1.00

```
15
Lattice="3.081 4.671 0.000 -3.081 4.671 0.000 0.000 4.199 7.046" Properties=species:S:1:pos:R:3 pbc="T T T"
O 0.000 3.214 0.346
O 0.000 9.514 3.684
O 0.000 4.028 3.362
O -1.670 7.471 5.355
O -1.670 6.071 1.692
O 1.670 6.071 1.692
O 0.000 8.385 1.193
O 0.000 5.156 5.854
O 0.000 10.328 6.700
O 1.670 7.471 5.355
Se 0.000 3.737 4.979
Se 0.000 9.805 2.068
Cu 1.540 2.336 0.000
Cu -1.540 2.336 0.000
Ag 0.000 6.771 3.523
```

=====

4.
CuAg4TeO6: optimized geometry, PBE.

Energy with MP2020 corrections, eV/atom: -4.824
Space-group type: C2/c, No. 15
Formation energy, eV/f.u.: -9.624
M_tot, Bohr magnetons per cell: 1.86

```
24
Lattice="4.939 5.741 0.000 -4.939 5.741 0.000 0.000 0.986 5.755" Properties=species:S:1:pos:R:3 pbc="T T T"
O 0.698 10.469 1.034
O 1.387 7.864 4.679
O 0.698 1.506 1.844
O -1.387 4.604 1.077
O -2.735 7.508 5.287
O -1.387 7.371 1.801
O -2.735 5.453 3.346
O 1.387 5.097 3.954
O 2.735 4.960 0.468
O -0.698 10.962 3.912
O -0.698 1.999 4.721
O 2.735 7.015 2.409
Ag 0.708 5.988 1.439
Ag -0.839 9.413 5.590
Ag 0.839 8.920 2.713
Ag -0.839 3.549 3.043
Ag 0.839 3.056 0.165
Ag -0.708 6.481 4.317
Ag 2.469 3.364 2.878
Ag -2.469 2.871 0.000
Cu 4.121 5.988 1.439
Cu -4.121 6.481 4.317
Te 2.748 6.481 4.317
Te -2.748 5.988 1.439
```

=====

5.
Cu2AgPS4: optimized geometry, PBE.

Energy with MP2020 corrections, eV/atom: -4.614
Space-group type: Pmn2_1, No. 31
Formation energy, eV/f.u.: -3.919
M_tot, Bohr magnetons per cell: 0.00

```
16
Lattice="6.205 0.000 0.000 0.000 6.322 0.000 0.000 0.000 7.662" Properties=species:S:1:pos:R:3 pbc="T T T"
P 0.004 4.346 0.000
P 3.106 1.976 3.831
S 5.654 2.327 0.000
S 2.551 3.994 3.831
S 2.346 1.012 2.136
S 5.191 1.772 3.831
S 5.449 5.310 5.966
S 2.088 4.550 0.000
S 5.449 5.310 1.695
S 2.346 1.012 5.526
Cu 0.060 1.171 1.896
Cu 0.060 1.171 5.766
Cu 3.163 5.151 5.726
Cu 3.163 5.151 1.935
Ag 0.029 4.091 3.831
Ag 3.131 2.230 0.000
```

=====

6.
SmCu4Ag: optimized geometry, PBE.

Space-group type: F-43m, No. 216
Formation energy, eV/f.u.: -1.259

```
6
Lattice="0.054 2.494 -4.449 1.330 -2.442 -4.277 -3.518 -1.033 -3.546" Properties=species:S:1:pos:R:3 pbc="T T T"
Cu -1.331 -0.611 -7.655
Cu -1.358 -1.847 -5.452
Cu 0.411 -0.100 -5.899
Cu -1.990 0.598 -5.537
Ag -0.534 -0.245 -3.068
Sm 0.000 0.000 0.000
```

=====

7.
SrCu4Ag: optimized geometry, PBE.

Space-group type: Cmmm, No. 65
Formation energy, eV/f.u.: -0.511
M_tot, Bohr magnetons per cell: 0.00

```
6
Lattice="0.000 0.000 -4.178 -2.511 -4.349 0.000 -3.025 4.646 0.000" Properties=species:S:1:pos:R:3 pbc="T T T"
Cu -2.636 1.522 0.000
Cu -2.768 0.149 -2.089
Cu -2.901 -1.225 0.000
Cu -4.024 -2.026 -2.089
Sr -2.511 -4.349 0.000
Ag -1.256 -2.175 -2.089
```

=====

8.
CuAgTe2: optimized geometry, PBE.

Energy with MP2020 corrections, eV/atom: -3.518
Space-group type: Pmm2, No. 25
Formation energy, eV/f.u.: -0.853
M_tot, Bohr magnetons per cell: 0.00

```
4
Lattice="-2.249 0.382 -2.171 1.650 -3.239 -2.278 -4.452 -4.905 3.750" Properties=species:S:1:pos:R:3 pbc="T T T"
Te -0.970 -1.069 0.817
Te -3.741 -5.220 0.674
Cu -3.636 -2.576 1.030
Ag -1.157 -3.803 0.530
```